GGA-PBE Ho6GaCo2, optimized geometry; E = -94.9 eV per cell; ΔE_f = -29 kJ/mol of atoms
1.0
-4.6056 4.7428 4.9007
4.6056 -4.7428 4.9007
4.6056 4.7428 -4.9007
Ho Ga Co
12 2 4
direct
0.0416 0.2387 0.8029 Ho
0.1807 0.2806 0.4613 Ho
0.1807 0.7194 0.9002 Ho
0.3264 0.0145 0.6880 Ho
0.3264 0.6384 0.3120 Ho
0.4358 0.2387 0.1971 Ho
0.5642 0.7613 0.8029 Ho
0.6736 0.3616 0.6880 Ho
0.6736 0.9855 0.3120 Ho
0.8193 0.2806 0.0998 Ho
0.8193 0.7194 0.5387 Ho
0.9584 0.7613 0.1971 Ho
0.0000 0.0000 0.0000 Ga
0.5000 0.5000 0.0000 Ga
0.1152 0.6152 0.5000 Co
0.3363 0.0000 0.3363 Co
0.6637 0.0000 0.6637 Co
0.8848 0.3848 0.5000 Co